The following is a DFT calculation (r²SCAN) of an optimized crystal structure of Ni11As8.

Properties
For the formation energy, the calculation gives -0.3072 eV per atom. The total magnetic moment comes out at 0.000 μB per atom.

```
data_Ni11As8
_chemical_formula_sum 'Ni44 As32'
_symmetry_space_group_name_H-M 'C 1 2/c 1'
_symmetry_Int_Tables_number 15
_symmetry_space_group_name_Hall '-C 2yc'
_cell_length_a 9.636
_cell_length_b 9.640
_cell_length_c 11.168
_cell_angle_alpha 90.00
_cell_angle_beta 102.38
_cell_angle_gamma 90.00
loop_
_atom_site_label
_atom_site_fract_x
_atom_site_fract_y
_atom_site_fract_z
Ni1 0.000 0.189 0.250
Ni2 0.056 0.404 0.594
Ni3 0.113 0.034 0.094
Ni4 0.131 0.218 0.906
Ni5 0.193 0.339 0.406
Ni6 0.240 0.437 0.213
As1 0.000 0.067 0.750
As2 0.000 0.442 0.250
As3 0.060 0.188 0.493
As4 0.187 0.437 0.000
As5 0.246 0.312 0.750
```